(1)
DFT (PBE-GGA) results for a relaxed NdCrGe3 crystal.

Cell and atoms, written as CIF:
```
data_NdCrGe3
_space_group_name_H-M_alt 'P 63/m m c'
_space_group_IT_number 194
_space_group_name_Hall '-P 6c 2c'
_cell_length_a 6.1653
_cell_length_b 6.1653
_cell_length_c 5.7501
_cell_angle_alpha 90.00
_cell_angle_beta 90.00
_cell_angle_gamma 120.00
loop_
_atom_site_label
_atom_site_fract_x
_atom_site_fract_y
_atom_site_fract_z
_atom_site_occupancy
Nd1 0.3333 0.6667 0.2500 1
Cr1 0.0000 0.0000 0.0000 1
Ge1 0.1924 0.3847 0.7500 1
```

Values from the calculation:
Total moment, μB per formula unit: 1.41
ΔH_f (0 K), eV per atom: -0.39
Total energy, eV/atom: -6.052



(2)
DFT (PBE-GGA) results for a relaxed CrGeRh crystal.

Cell and atoms, written as CIF:
```
data_CrGeRh
_space_group_name_H-M_alt 'F -4 3 m'
_space_group_IT_number 216
_space_group_name_Hall 'F -4 2 3'
_cell_length_a 5.8162
_cell_length_b 5.8162
_cell_length_c 5.8162
_cell_angle_alpha 90.00
_cell_angle_beta 90.00
_cell_angle_gamma 90.00
loop_
_atom_site_label
_atom_site_fract_x
_atom_site_fract_y
_atom_site_fract_z
_atom_site_occupancy
Cr1 0.0000 0.0000 0.0000 1
Ge1 0.2500 0.2500 0.2500 1
Rh1 0.0000 0.0000 0.5000 1
```

Values from the calculation:
Total moment, μB per formula unit: 3.54
ΔH_f (0 K), eV per atom: 0.00
Total energy, eV/atom: -7.217



(3)
DFT (PBE-GGA) results for a relaxed Sc7Cr5Ge9 crystal.

Cell and atoms, written as CIF:
```
data_Sc7Cr5Ge9
_space_group_name_H-M_alt 'F m m m'
_space_group_IT_number 69
_space_group_name_Hall '-F 2 2'
_cell_length_a 14.0353
_cell_length_b 14.1180
_cell_length_c 14.1529
_cell_angle_alpha 90.00
_cell_angle_beta 90.00
_cell_angle_gamma 90.00
loop_
_atom_site_label
_atom_site_fract_x
_atom_site_fract_y
_atom_site_fract_z
_atom_site_occupancy
Sc1 0.0000 0.0000 0.1782 1
Sc2 0.0000 0.1625 0.5000 1
Sc3 0.1277 0.1885 0.1259 1
Sc4 0.1798 0.0000 0.0000 1
Cr1 0.1231 0.0000 0.5000 1
Cr2 0.1596 0.0969 0.3397 1
Ge1 0.0000 0.0000 0.3745 1
Ge2 0.0000 0.1111 0.0000 1
Ge3 0.0000 0.1693 0.2922 1
Ge4 0.1874 0.0000 0.1867 1
Ge5 0.2027 0.1639 0.5000 1
Ge6 0.2500 0.2500 0.2500 1
```

Values from the calculation:
Total moment, μB per formula unit: 3.09
ΔH_f (0 K), eV per atom: -0.54
Total energy, eV/atom: -6.929



What is the ΔH_f (0 K) in the first record?
-0.39 eV per atom



Number 3 is which compound?
Sc7Cr5Ge9



The highest ΔH_f (0 K) belongs to which entry?
CrGeRh



Which value of ΔH_f (0 K) does entry 1 give?
-0.39 eV per atom